1) {"formula": "Be13Mo", "functional": "PBE", "state": "optimized geometry", "lattice": [[-6.8038, -6.8038, 0.0000], [-6.8038, 0.0000, -6.8038], [0.0000, -6.8038, -6.8038]], "species": ["Be", "Be", "Be", "Be", "Be", "Be", "Be", "Be", "Be", "Be", "Be", "Be", "Be", "Be", "Be", "Be", "Be", "Be", "Be", "Be", "Be", "Be", "Be", "Be", "Be", "Be", "Be", "Be", "Be", "Be", "Be", "Be", "Be", "Be", "Be", "Be", "Be", "Be", "Be", "Be", "Be", "Be", "Be", "Be", "Be", "Be", "Be", "Be", "Be", "Be", "Be", "Be", "Mo", "Mo", "Mo", "Mo"], "fractional_positions": [[0.4975, 0.4975, 0.2657], [0.7393, 0.2657, 0.4975], [0.2657, 0.7393, 0.4975], [0.4975, 0.2657, 0.4975], [0.0107, 0.2525, 0.4843], [0.2525, 0.2525, 0.4843], [0.4975, 0.4975, 0.7393], [0.2657, 0.4975, 0.7393], [0.2525, 0.4843, 0.2525], [0.0107, 0.4843, 0.2525], [0.7393, 0.4975, 0.2657], [0.2525, 0.0107, 0.2525], [0.4843, 0.0107, 0.2525], [0.4975, 0.7393, 0.4975], [0.4843, 0.2525, 0.0107], [0.2525, 0.2525, 0.0107], [0.2657, 0.4975, 0.4975], [0.4975, 0.2657, 0.7393], [0.7393, 0.4975, 0.4975], [0.4975, 0.7393, 0.2657], [0.2525, 0.4843, 0.0107], [0.4843, 0.2525, 0.2525], [0.2525, 0.0107, 0.4843], [0.0107, 0.2525, 0.2525], [0.5000, 0.5000, 0.5000], [0.2500, 0.2500, 0.2500], [0.0000, 0.0000, 0.0000], [0.7500, 0.7500, 0.7500], [0.1448, 0.7508, 0.7508], [0.3537, 0.7508, 0.7508], [0.7508, 0.3537, 0.1448], [0.7508, 0.7508, 0.1448], [0.3963, 0.9992, 0.9992], [0.6052, 0.9992, 0.9992], [0.7508, 0.1448, 0.3537], [0.7508, 0.7508, 0.3537], [0.3537, 0.1448, 0.7508], [0.9992, 0.3963, 0.6052], [0.1448, 0.3537, 0.7508], [0.9992, 0.6052, 0.3963], [0.7508, 0.1448, 0.7508], [0.3963, 0.9992, 0.6052], [0.9992, 0.9992, 0.6052], [0.1448, 0.7508, 0.3537], [0.9992, 0.6052, 0.9992], [0.3963, 0.6052, 0.9992], [0.3537, 0.7508, 0.1448], [0.9992, 0.3963, 0.9992], [0.6052, 0.3963, 0.9992], [0.7508, 0.3537, 0.7508], [0.6052, 0.9992, 0.3963], [0.9992, 0.9992, 0.3963], [0.8750, 0.8750, 0.8750], [0.3750, 0.8750, 0.8750], [0.8750, 0.3750, 0.8750], [0.8750, 0.8750, 0.3750]], "magmom_total_mub_per_cell": 4.011, "spacegroup": "Fd-3m (227)"}

2) {"formula": "Be13Mo", "functional": "PBE", "state": "optimized geometry", "lattice": [[7.3254, -3.2030, 5.5145], [-1.7766, -3.4797, 8.8918], [0.9476, -9.5016, 1.7753]], "species": ["Be", "Be", "Be", "Be", "Be", "Be", "Be", "Be", "Be", "Be", "Be", "Be", "Be", "Be", "Be", "Be", "Be", "Be", "Be", "Be", "Be", "Be", "Be", "Be", "Be", "Be", "Be", "Be", "Be", "Be", "Be", "Be", "Be", "Be", "Be", "Be", "Be", "Be", "Be", "Be", "Be", "Be", "Be", "Be", "Be", "Be", "Be", "Be", "Be", "Be", "Be", "Be", "Mo", "Mo", "Mo", "Mo"], "fractional_positions": [[0.9699, 0.3225, 0.7378], [0.3225, 0.9699, 0.9699], [0.7378, 0.9699, 0.9699], [0.7378, 0.9699, 0.3225], [0.2801, 0.9275, 0.2801], [0.2801, 0.9275, 0.5122], [0.9699, 0.7378, 0.3225], [0.9699, 0.3225, 0.9699], [0.9275, 0.2801, 0.5122], [0.9275, 0.2801, 0.2801], [0.9699, 0.7378, 0.9699], [0.5122, 0.2801, 0.9275], [0.5122, 0.2801, 0.2801], [0.3225, 0.9699, 0.7378], [0.2801, 0.5122, 0.2801], [0.2801, 0.5122, 0.9275], [0.3225, 0.7378, 0.9699], [0.9699, 0.9699, 0.7378], [0.7378, 0.3225, 0.9699], [0.9699, 0.9699, 0.3225], [0.2801, 0.2801, 0.9275], [0.5122, 0.9275, 0.2801], [0.2801, 0.2801, 0.5122], [0.9275, 0.5122, 0.2801], [0.5000, 0.5000, 0.5000], [0.7500, 0.7500, 0.7500], [0.0000, 0.0000, 0.0000], [0.2500, 0.2500, 0.2500], [0.7248, 0.5092, 0.5092], [0.5092, 0.7248, 0.2567], [0.5092, 0.2567, 0.7248], [0.5092, 0.7248, 0.5092], [0.5252, 0.7408, 0.9933], [0.5252, 0.7408, 0.7408], [0.2567, 0.5092, 0.5092], [0.2567, 0.5092, 0.7248], [0.7408, 0.5252, 0.7408], [0.7408, 0.5252, 0.9933], [0.7248, 0.5092, 0.2567], [0.7408, 0.9933, 0.7408], [0.7408, 0.9933, 0.5252], [0.5092, 0.2567, 0.5092], [0.9933, 0.7408, 0.5252], [0.9933, 0.7408, 0.7408], [0.5092, 0.5092, 0.7248], [0.2567, 0.7248, 0.5092], [0.5092, 0.5092, 0.2567], [0.7248, 0.2567, 0.5092], [0.9933, 0.5252, 0.7408], [0.7408, 0.7408, 0.5252], [0.5252, 0.9933, 0.7408], [0.7408, 0.7408, 0.9933], [0.1250, 0.1250, 0.1250], [0.1250, 0.1250, 0.6250], [0.1250, 0.6250, 0.1250], [0.6250, 0.1250, 0.1250]], "magmom_total_mub_per_cell": 0.013, "spacegroup": "Fd-3m (227)"}

Least stable of them? 2).

1) {"formula": "NaBe4SbO7", "functional": "PBE", "state": "optimized geometry", "lattice": [[-1.2075, -1.3287, -5.1856], [0.5766, -3.9378, 3.7783], [-8.7251, 0.5393, 1.8935]], "species": ["Na", "Na", "Be", "Be", "Be", "Be", "Be", "Be", "Be", "Be", "Sb", "Sb", "O", "O", "O", "O", "O", "O", "O", "O", "O", "O", "O", "O", "O", "O"], "fractional_positions": [[0.6667, 0.3333, 0.1252], [0.3333, 0.6667, 0.6252], [0.8344, 0.1656, 0.8134], [0.6688, 0.8344, 0.3134], [0.1656, 0.3312, 0.3134], [0.1656, 0.8344, 0.3134], [0.0000, 0.0000, 0.0608], [0.0000, 0.0000, 0.5608], [0.3312, 0.1656, 0.8134], [0.8344, 0.6688, 0.8134], [0.6667, 0.3333, 0.5004], [0.3333, 0.6667, 0.0004], [0.8393, 0.6785, 0.6290], [0.0000, 0.0000, 0.3754], [0.0000, 0.0000, 0.8754], [0.1607, 0.3215, 0.1290], [0.6785, 0.8393, 0.1290], [0.8393, 0.1607, 0.6290], [0.4949, 0.5051, 0.3710], [0.9898, 0.4949, 0.8710], [0.5051, 0.0102, 0.8710], [0.4949, 0.9898, 0.3710], [0.0102, 0.5051, 0.3710], [0.5051, 0.4949, 0.8710], [0.1607, 0.8393, 0.1290], [0.3215, 0.1607, 0.6290]], "magmom_total_mub_per_cell": 0.000, "piezo_max_c_m2": 0.096, "spacegroup": "P6_3mc (186)"}

2) {"formula": "NaBe4SbO7", "functional": "PBE", "state": "optimized geometry", "lattice": [[-3.8039, 2.0496, -3.7969], [1.8648, -5.4237, -0.4389], [-7.0099, -2.8539, 5.4823]], "species": ["Na", "Na", "Be", "Be", "Be", "Be", "Be", "Be", "Be", "Be", "Sb", "Sb", "O", "O", "O", "O", "O", "O", "O", "O", "O", "O", "O", "O", "O", "O"], "fractional_positions": [[0.3333, 0.6667, 0.5048], [0.6667, 0.3333, 0.0048], [0.3187, 0.1594, 0.3129], [0.1594, 0.3187, 0.8129], [0.1594, 0.8406, 0.8129], [0.0000, 0.0000, 0.5660], [0.0000, 0.0000, 0.0660], [0.8406, 0.1594, 0.3129], [0.8406, 0.6813, 0.3129], [0.6813, 0.8406, 0.8129], [0.6667, 0.3333, 0.5301], [0.3333, 0.6667, 0.0301], [0.2878, 0.1439, 0.1437], [0.1439, 0.2878, 0.6437], [0.5209, 0.0419, 0.3772], [0.1439, 0.8561, 0.6437], [0.0419, 0.5209, 0.8772], [0.4791, 0.5209, 0.8772], [0.0000, 0.0000, 0.8881], [0.0000, 0.0000, 0.3881], [0.5209, 0.4791, 0.3772], [0.9581, 0.4791, 0.3772], [0.8561, 0.1439, 0.1437], [0.4791, 0.9581, 0.8772], [0.8561, 0.7122, 0.1437], [0.7122, 0.8561, 0.6437]], "magmom_total_mub_per_cell": 3.972, "spacegroup": "P6_3mc (186)"}

Least stable of them? 2).